Entry 1:
Computed, not measured: Na6Ta2Zn4Si3S6O36 after structural relaxation at the GGA-PBE level of DFT.

Cell lengths 8.9299, 8.9299, 22.4036 Å; angles 90.00, 90.00, 120.00 degrees
Fractional coordinates of all 114 atoms:
Na  0.9868  0.6943  0.9168
Na  0.7075  0.0132  0.9168
Na  0.3057  0.2925  0.9168
Na  0.9868  0.2925  0.4168
Na  0.3057  0.0132  0.4168
Na  0.7075  0.6943  0.4168
Na  0.0000  0.0000  0.4985
Na  0.0000  0.0000  0.9985
Na  0.6667  0.3333  0.8219
Na  0.6667  0.3333  0.3219
Na  0.3333  0.6667  0.1570
Na  0.3333  0.6667  0.6570
Ta  0.6667  0.3333  0.9800
Ta  0.6667  0.3333  0.4800
Ta  0.3333  0.6667  0.3170
Ta  0.3333  0.6667  0.8170
Zn  0.0000  0.0000  0.3511
Zn  0.0000  0.0000  0.8511
Zn  0.0000  0.0000  0.6499
Zn  0.0000  0.0000  0.1499
Zn  0.6667  0.3333  0.6823
Zn  0.6667  0.3333  0.1823
Zn  0.3333  0.6667  0.0082
Zn  0.3333  0.6667  0.5082
Si  0.6258  0.6685  0.9199
Si  0.0427  0.3742  0.9199
Si  0.3315  0.9573  0.9199
Si  0.6258  0.9573  0.4199
Si  0.3315  0.3742  0.4199
Si  0.0427  0.6685  0.4199
S  0.2989  0.9979  0.2493
S  0.6990  0.7011  0.2493
S  0.0021  0.3010  0.2493
S  0.2989  0.3010  0.7493
S  0.0021  0.7011  0.7493
S  0.6990  0.9979  0.7493
S  0.9589  0.3310  0.5861
S  0.3720  0.0411  0.5861
S  0.6690  0.6280  0.5861
S  0.9589  0.6280  0.0861
S  0.6690  0.0411  0.0861
S  0.3720  0.3310  0.0861
O  0.2222  0.0152  0.3056
O  0.7929  0.7778  0.3056
O  0.9848  0.2071  0.3056
O  0.2222  0.2071  0.8056
O  0.9848  0.7778  0.8056
O  0.7929  0.0152  0.8056
O  0.7829  0.9743  0.6965
O  0.1914  0.2171  0.6965
O  0.0257  0.8086  0.6965
O  0.7829  0.8086  0.1965
O  0.0257  0.2171  0.1965
O  0.1914  0.9743  0.1965
O  0.8675  0.3427  0.6388
O  0.4752  0.1325  0.6388
O  0.6573  0.5248  0.6388
O  0.8675  0.5248  0.1388
O  0.6573  0.1325  0.1388
O  0.4752  0.3427  0.1388
O  0.4712  0.3209  0.0300
O  0.8498  0.5288  0.0300
O  0.6791  0.1502  0.0300
O  0.4712  0.1502  0.5300
O  0.6791  0.5288  0.5300
O  0.8498  0.3209  0.5300
O  0.5575  0.7227  0.9764
O  0.1652  0.4425  0.9764
O  0.2773  0.8348  0.9764
O  0.5575  0.8348  0.4764
O  0.2773  0.4425  0.4764
O  0.1652  0.7227  0.4764
O  0.1332  0.6219  0.3615
O  0.4887  0.8668  0.3615
O  0.3781  0.5113  0.3615
O  0.1332  0.5113  0.8615
O  0.3781  0.8668  0.8615
O  0.4887  0.6219  0.8615
O  0.9988  0.8183  0.4061
O  0.8195  0.0012  0.4061
O  0.1817  0.1805  0.4061
O  0.9988  0.1805  0.9061
O  0.1817  0.0012  0.9061
O  0.8195  0.8183  0.9061
O  0.9629  0.1674  0.5844
O  0.2046  0.0371  0.5844
O  0.8326  0.7954  0.5844
O  0.9629  0.7954  0.0844
O  0.8326  0.0371  0.0844
O  0.2046  0.1674  0.0844
O  0.6719  0.1481  0.7444
O  0.4762  0.3281  0.7444
O  0.8519  0.5238  0.7444
O  0.6719  0.5238  0.2444
O  0.8519  0.3281  0.2444
O  0.4762  0.1481  0.2444
O  0.6277  0.4829  0.9268
O  0.8552  0.3723  0.9268
O  0.5171  0.1448  0.9268
O  0.6277  0.1448  0.4268
O  0.5171  0.3723  0.4268
O  0.8552  0.4829  0.4268
O  0.3574  0.4857  0.0819
O  0.1284  0.6426  0.0819
O  0.5143  0.8716  0.0819
O  0.3574  0.8716  0.5819
O  0.5143  0.6426  0.5819
O  0.1284  0.4857  0.5819
O  0.3132  0.8335  0.2535
O  0.5202  0.6868  0.2535
O  0.1665  0.4798  0.2535
O  0.3132  0.4798  0.7535
O  0.1665  0.6868  0.7535
O  0.5202  0.8335  0.7535

Summary:
- spin magnetization (μB/atom) = 0.0000


Entry 2:
Computed, not measured: Na42Ta4Zn20Si15S21O144 after structural relaxation at the GGA-PBE level of DFT.

Cell lengths 18.4141, 9.1035, 22.1085 Å; angles 90.09, 90.37, 119.65 degrees
Fractional coordinates of all 246 atoms:
Na  0.3090  0.9959  0.2374
Na  0.8066  0.9948  0.2386
Na  0.1923  0.3720  0.2506
Na  0.6923  0.3715  0.2426
Na  0.9979  0.6306  0.2493
Na  0.4976  0.6356  0.2477
Na  0.3048  0.6194  0.7432
Na  0.8107  0.6247  0.7412
Na  0.0003  0.3597  0.7549
Na  0.4966  0.3626  0.7533
Na  0.1899  0.0110  0.7544
Na  0.6939  0.0133  0.7540
Na  0.1634  0.3459  0.5866
Na  0.6633  0.3513  0.5883
Na  0.3168  0.9579  0.5878
Na  0.1609  0.9699  0.0743
Na  0.6632  0.9799  0.0826
Na  0.8186  0.6788  0.0841
Na  0.4810  0.6651  0.9202
Na  0.9926  0.6793  0.9199
Na  0.3430  0.0322  0.9147
Na  0.8562  0.0450  0.9171
Na  0.1638  0.2874  0.9084
Na  0.6680  0.2940  0.9189
Na  0.4820  0.2977  0.4167
Na  0.9835  0.2981  0.4186
Na  0.1679  0.0425  0.4185
Na  0.6649  0.0364  0.4085
Na  0.3545  0.6640  0.4174
Na  0.8535  0.6661  0.4180
Na  0.9971  0.9725  0.5031
Na  0.4961  0.9710  0.4973
Na  0.0048  0.0183  0.9921
Na  0.4926  0.0189  0.0007
Na  0.3191  0.3068  0.8305
Na  0.8318  0.3264  0.8289
Na  0.3287  0.3352  0.3268
Na  0.8281  0.3349  0.3258
Na  0.1790  0.6770  0.1613
Na  0.6687  0.6609  0.1619
Na  0.1689  0.6779  0.6662
Na  0.6797  0.6801  0.6657
Ta  0.9970  0.9993  0.6477
Ta  0.4961  0.0004  0.6498
Ta  0.9961  0.9907  0.1495
Ta  0.4970  0.9918  0.1464
Zn  0.0025  0.9819  0.3369
Zn  0.4985  0.9756  0.3332
Zn  0.0055  0.0170  0.8457
Zn  0.5009  0.0220  0.8398
Zn  0.3148  0.3166  0.6818
Zn  0.8267  0.3296  0.6843
Zn  0.3248  0.3229  0.1817
Zn  0.8167  0.3150  0.1799
Zn  0.3214  0.2927  0.9867
Zn  0.8247  0.3120  0.0014
Zn  0.3217  0.3364  0.5052
Zn  0.8380  0.3497  0.4989
Zn  0.1800  0.6998  0.0119
Zn  0.6697  0.6652  0.0210
Zn  0.1710  0.6741  0.5212
Zn  0.6777  0.6765  0.5180
Zn  0.1762  0.6873  0.3095
Zn  0.6749  0.6838  0.3098
Zn  0.1765  0.6812  0.8133
Zn  0.6760  0.6641  0.8105
Si  0.1498  0.0022  0.2539
Si  0.6476  0.9984  0.2539
Si  0.3508  0.6959  0.2524
Si  0.8505  0.6953  0.2549
Si  0.1476  0.3022  0.7530
Si  0.6497  0.2968  0.7533
Si  0.3502  0.0083  0.7536
Si  0.8538  0.0055  0.7542
Si  0.1790  0.0250  0.5820
Si  0.3368  0.6333  0.5822
Si  0.8318  0.6320  0.5828
Si  0.3327  0.0342  0.0843
Si  0.8357  0.0389  0.0828
Si  0.6799  0.3331  0.0829
Si  0.1626  0.9631  0.9146
S  0.0004  0.2896  0.2523
S  0.5012  0.2896  0.2523
S  0.9990  0.7085  0.7500
S  0.5010  0.7114  0.7516
S  0.4836  0.3330  0.5838
S  0.9808  0.3279  0.5832
S  0.6813  0.0306  0.5824
S  0.4801  0.6292  0.0830
S  0.9818  0.6297  0.0864
S  0.1793  0.3329  0.0845
S  0.3191  0.6662  0.9168
S  0.8155  0.6604  0.9174
S  0.0196  0.3817  0.9181
S  0.5225  0.3808  0.9152
S  0.6642  0.9543  0.9153
S  0.3185  0.9708  0.4166
S  0.8163  0.9719  0.4175
S  0.1642  0.3746  0.4152
S  0.6645  0.3701  0.4166
S  0.0204  0.6603  0.4157
S  0.5234  0.6621  0.4175
O  0.1128  0.0426  0.3148
O  0.6105  0.0379  0.3150
O  0.4001  0.7671  0.3171
O  0.9018  0.7819  0.3171
O  0.4886  0.1906  0.3087
O  0.9887  0.1915  0.3084
O  0.1101  0.1863  0.8121
O  0.6107  0.1790  0.8127
O  0.4895  0.7869  0.8076
O  0.9859  0.7804  0.8059
O  0.4037  0.0278  0.8146
O  0.9065  0.0290  0.8161
O  0.4094  0.9906  0.6952
O  0.9081  0.9808  0.6978
O  0.0841  0.1911  0.6937
O  0.5878  0.1852  0.6929
O  0.0065  0.8208  0.6969
O  0.5081  0.8265  0.6980
O  0.4093  0.8357  0.1996
O  0.9076  0.8304  0.1973
O  0.0076  0.1904  0.1990
O  0.5091  0.1944  0.1994
O  0.0849  0.9880  0.1961
O  0.5836  0.9827  0.1968
O  0.4448  0.3484  0.6386
O  0.9391  0.3471  0.6366
O  0.2427  0.1085  0.6388
O  0.7307  0.1072  0.6379
O  0.3262  0.5195  0.6408
O  0.8161  0.5047  0.6392
O  0.4410  0.5331  0.1387
O  0.9397  0.5374  0.1414
O  0.3192  0.1265  0.1430
O  0.8242  0.1279  0.1426
O  0.2288  0.3573  0.1405
O  0.7407  0.3760  0.1417
O  0.2174  0.2996  0.0309
O  0.7178  0.2863  0.0230
O  0.4308  0.5535  0.0279
O  0.9299  0.5602  0.0311
O  0.3522  0.1388  0.0212
O  0.8546  0.1447  0.0201
O  0.2158  0.1446  0.5208
O  0.7213  0.1370  0.5278
O  0.3568  0.5676  0.5186
O  0.8476  0.5617  0.5183
O  0.4311  0.2997  0.5286
O  0.9318  0.3034  0.5261
O  0.2757  0.6884  0.9691
O  0.7736  0.6810  0.9714
O  0.0740  0.4715  0.9706
O  0.5756  0.4728  0.9675
O  0.1471  0.8523  0.9766
O  0.6591  0.8582  0.9711
O  0.2774  0.8668  0.4708
O  0.7737  0.8609  0.4696
O  0.1590  0.4607  0.4711
O  0.6583  0.4564  0.4722
O  0.0722  0.6712  0.4682
O  0.5764  0.6767  0.4707
O  0.0584  0.6464  0.3580
O  0.5630  0.6498  0.3602
O  0.2679  0.8903  0.3608
O  0.7676  0.8977  0.3604
O  0.1689  0.4734  0.3600
O  0.6735  0.4725  0.3616
O  0.0576  0.4689  0.8602
O  0.5613  0.4714  0.8575
O  0.1804  0.8751  0.8555
O  0.6690  0.8652  0.8600
O  0.2709  0.6407  0.8595
O  0.7639  0.6351  0.8615
O  0.0113  0.8162  0.4167
O  0.5143  0.8178  0.4179
O  0.4037  0.9878  0.4136
O  0.9020  0.9927  0.4152
O  0.0869  0.2037  0.4147
O  0.5865  0.2014  0.4153
O  0.0069  0.2054  0.9186
O  0.5134  0.2066  0.9159
O  0.0770  0.9807  0.9114
O  0.5869  0.9707  0.9148
O  0.4044  0.8216  0.9146
O  0.8990  0.8144  0.9141
O  0.4928  0.1698  0.5880
O  0.9870  0.1662  0.5875
O  0.0878  0.0218  0.5925
O  0.5970  0.0272  0.5870
O  0.4210  0.8326  0.5908
O  0.9166  0.8215  0.5933
O  0.4875  0.8070  0.0885
O  0.9913  0.8122  0.0906
O  0.4176  0.0135  0.0959
O  0.9195  0.0082  0.0927
O  0.0944  0.1671  0.0911
O  0.5885  0.1534  0.0938
O  0.3479  0.1822  0.7446
O  0.8474  0.1771  0.7435
O  0.2416  0.3284  0.7469
O  0.7432  0.3226  0.7476
O  0.4290  0.5432  0.7432
O  0.9251  0.5381  0.7420
O  0.3455  0.5132  0.2415
O  0.8481  0.5166  0.2460
O  0.4288  0.3156  0.2456
O  0.9284  0.3143  0.2446
O  0.2428  0.1631  0.2475
O  0.7417  0.1586  0.2483
O  0.3296  0.5143  0.9238
O  0.8252  0.5068  0.9219
O  0.4383  0.3665  0.9180
O  0.9354  0.3713  0.9212
O  0.2473  0.1555  0.9188
O  0.7407  0.1258  0.9155
O  0.3273  0.1430  0.4208
O  0.8231  0.1430  0.4242
O  0.2407  0.3565  0.4154
O  0.7395  0.3461  0.4191
O  0.4391  0.5082  0.4198
O  0.9348  0.5052  0.4183
O  0.1636  0.4744  0.0769
O  0.6670  0.4957  0.0767
O  0.0670  0.6581  0.0828
O  0.5678  0.6668  0.0794
O  0.2488  0.8462  0.0809
O  0.7526  0.8494  0.0793
O  0.1661  0.8362  0.5758
O  0.6648  0.8562  0.5762
O  0.2535  0.6555  0.5786
O  0.7464  0.6488  0.5803
O  0.0673  0.4672  0.5788
O  0.5703  0.4736  0.5774
O  0.1477  0.8200  0.2510
O  0.6470  0.8172  0.2514
O  0.2584  0.6817  0.2502
O  0.7593  0.6841  0.2504
O  0.0799  0.4527  0.2516
O  0.5800  0.4544  0.2532
O  0.1486  0.4839  0.7525
O  0.6478  0.4748  0.7501
O  0.0763  0.6991  0.7491
O  0.5804  0.7086  0.7504
O  0.2618  0.8348  0.7467
O  0.7604  0.8353  0.7520

Summary:
- spin magnetization (μB/atom) = 0.0000


Number 1: E_form -2.302 eV per atom, mass density 3.46 g/cm³. Number 2: E_form -2.279 eV per atom, mass density 3.30 g/cm³.